A plane-wave DFT calculation with PBE was carried out for a relaxed AlH6ClO4 crystal.

Calculated values
DFT formation energy   -1.644 eV/atom
Calculated volume   10.7 Å³/atom

CIF file:
```
data_AlH6ClO4
_cell_length_a 8.7733
_cell_length_b 13.5063
_cell_length_c 5.2239
_cell_angle_alpha 90.00
_cell_angle_beta 124.14
_cell_angle_gamma 90.00
_symmetry_space_group_name_H-M 'C 1 2/c 1'
_symmetry_Int_Tables_number 15
loop_
_symmetry_equiv_pos_as_xyz
'x,y,z'
'-x,-y,-z'
'-x,y,-z+1/2'
'x,-y,z+1/2'
'x+1/2,y+1/2,z'
'-x+1/2,-y+1/2,-z'
'-x+1/2,y+1/2,-z+1/2'
'x+1/2,-y+1/2,z+1/2'
loop_
_atom_site_label
_atom_site_type_symbol
_atom_site_fract_x
_atom_site_fract_y
_atom_site_fract_z
_atom_site_occupancy
Al1 Al 0.0000 0.0500 0.2500 1
H1 H 0.0949 0.2196 0.1288 1
H2 H 0.2358 0.3521 0.7287 1
H3 H 0.2498 0.0738 0.8336 1
Cl1 Cl 0.0000 0.3376 0.7500 1
O1 O 0.1397 0.0377 0.6788 1
O2 O 0.1530 0.1628 0.2706 1
```

A plane-wave DFT calculation with PBE was carried out for a relaxed DyHo3 crystal.

Calculated values
Energy relative to the lowest polymorph listed for this composition   0.013 eV/atom
DFT formation energy   0.026 eV/atom
Calculated volume   31.0 Å³/atom

CIF file:
```
data_DyHo3
_cell_length_a 4.9856
_cell_length_b 4.9856
_cell_length_c 4.9856
_cell_angle_alpha 90.00
_cell_angle_beta 90.00
_cell_angle_gamma 90.00
_symmetry_space_group_name_H-M 'P m -3 m'
_symmetry_Int_Tables_number 221
_symmetry_space_group_name_Hall '-P 4 2 3'
loop_
_atom_site_label
_atom_site_type_symbol
_atom_site_fract_x
_atom_site_fract_y
_atom_site_fract_z
_atom_site_occupancy
Dy1 Dy 0.0000 0.0000 0.0000 1
Ho1 Ho 0.0000 0.5000 0.5000 1
```

A plane-wave DFT calculation with PBE was carried out for a relaxed DyBi crystal.

Calculated values
DFT formation energy   -0.850 eV/atom
Calculated volume   31.7 Å³/atom

CIF file:
```
data_DyBi
_cell_length_a 6.3308
_cell_length_b 6.3308
_cell_length_c 6.3308
_cell_angle_alpha 90.00
_cell_angle_beta 90.00
_cell_angle_gamma 90.00
_symmetry_space_group_name_H-M 'F m -3 m'
_symmetry_Int_Tables_number 225
_symmetry_space_group_name_Hall '-F 4 2 3'
loop_
_atom_site_label
_atom_site_type_symbol
_atom_site_fract_x
_atom_site_fract_y
_atom_site_fract_z
_atom_site_occupancy
Dy1 Dy 0.0000 0.0000 0.0000 1
Bi1 Bi 0.0000 0.0000 0.5000 1
```

A plane-wave DFT calculation with PBE was carried out for a relaxed NaLaP2O7 crystal.

Calculated values
DFT formation energy   -3.118 eV/atom
Calculated volume   13.7 Å³/atom

CIF file:
```
data_NaLaP2O7
_cell_length_a 8.7566
_cell_length_b 5.3628
_cell_length_c 12.8219
_cell_angle_alpha 90.00
_cell_angle_beta 90.00
_cell_angle_gamma 90.00
_symmetry_space_group_name_H-M 'P n m a'
_symmetry_Int_Tables_number 62
loop_
_symmetry_equiv_pos_as_xyz
'x,y,z'
'-x,-y,-z'
'-x+1/2,-y,z+1/2'
'x+1/2,y,-z+1/2'
'x+1/2,-y+1/2,-z+1/2'
'-x+1/2,y+1/2,z+1/2'
'-x,y+1/2,-z'
'x,-y+1/2,z'
loop_
_atom_site_label
_atom_site_type_symbol
_atom_site_fract_x
_atom_site_fract_y
_atom_site_fract_z
_atom_site_occupancy
Na1 Na 0.1211 0.2500 0.0791 1
La1 La 0.1830 0.2500 0.7641 1
P1 P 0.0167 0.2500 0.3189 1
P2 P 0.2337 0.7500 0.9668 1
O1 O 0.0722 0.0084 0.2655 1
O2 O 0.0853 0.2500 0.4361 1
O3 O 0.1563 0.7500 0.6750 1
O4 O 0.1604 0.5143 0.9210 1
O5 O 0.2325 0.7500 0.0854 1
```

A plane-wave DFT calculation with PBE was carried out for a relaxed Ba3Ho crystal.

Calculated values
DFT formation energy   0.246 eV/atom
Calculated volume   51.6 Å³/atom

CIF file:
```
data_Ba3Ho
_cell_length_a 5.8947
_cell_length_b 5.8947
_cell_length_c 11.8846
_cell_angle_alpha 90.00
_cell_angle_beta 90.00
_cell_angle_gamma 90.00
_symmetry_space_group_name_H-M 'I 4/m m m'
_symmetry_Int_Tables_number 139
_symmetry_space_group_name_Hall '-I 4 2'
loop_
_atom_site_label
_atom_site_type_symbol
_atom_site_fract_x
_atom_site_fract_y
_atom_site_fract_z
_atom_site_occupancy
Ba1 Ba 0.0000 0.0000 0.0000 1
Ba2 Ba 0.0000 0.5000 0.2500 1
Ho1 Ho 0.0000 0.0000 0.5000 1
```

A plane-wave DFT calculation with PBE was carried out for a relaxed EuAu3 crystal.

Calculated values
DFT formation energy   -0.535 eV/atom
Calculated volume   22.3 Å³/atom

CIF file:
```
data_EuAu3
_cell_length_a 7.0878
_cell_length_b 7.0878
_cell_length_c 7.0878
_cell_angle_alpha 90.00
_cell_angle_beta 90.00
_cell_angle_gamma 90.00
_symmetry_space_group_name_H-M 'F m -3 m'
_symmetry_Int_Tables_number 225
_symmetry_space_group_name_Hall '-F 4 2 3'
loop_
_atom_site_label
_atom_site_type_symbol
_atom_site_fract_x
_atom_site_fract_y
_atom_site_fract_z
_atom_site_occupancy
Eu1 Eu 0.0000 0.0000 0.0000 1
Au1 Au 0.0000 0.0000 0.5000 1
Au2 Au 0.2500 0.2500 0.2500 1
```

A plane-wave DFT calculation with PBE was carried out for a relaxed PRhO4 crystal.

Calculated values
DFT formation energy   -1.969 eV/atom
Calculated volume   12.7 Å³/atom

CIF file:
```
data_PRhO4
_cell_length_a 10.5628
_cell_length_b 13.3272
_cell_length_c 6.4776
_cell_angle_alpha 90.00
_cell_angle_beta 90.00
_cell_angle_gamma 90.00
_symmetry_space_group_name_H-M 'I m m a'
_symmetry_Int_Tables_number 74
_symmetry_space_group_name_Hall '-I 2b 2'
loop_
_atom_site_label
_atom_site_type_symbol
_atom_site_fract_x
_atom_site_fract_y
_atom_site_fract_z
_atom_site_occupancy
P1 P 0.0000 0.2500 0.0808 1
P2 P 0.2500 0.0758 0.7500 1
Rh1 Rh 0.0000 0.0000 0.0000 1
Rh2 Rh 0.2500 0.1310 0.2500 1
O1 O 0.0000 0.1540 0.9515 1
O2 O 0.1218 0.2500 0.2269 1
O3 O 0.1373 0.0067 0.2234 1
O4 O 0.2238 0.1387 0.5614 1
```

A plane-wave DFT calculation with PBE was carried out for a relaxed CsZnN crystal.

Calculated values
DFT formation energy   0.110 eV/atom
Calculated volume   33.5 Å³/atom

CIF file:
```
data_CsZnN
_cell_length_a 5.6734
_cell_length_b 5.6734
_cell_length_c 3.6035
_cell_angle_alpha 90.00
_cell_angle_beta 90.00
_cell_angle_gamma 120.00
_symmetry_space_group_name_H-M 'P -6 m 2'
_symmetry_Int_Tables_number 187
_symmetry_space_group_name_Hall 'P -6 2'
loop_
_atom_site_label
_atom_site_type_symbol
_atom_site_fract_x
_atom_site_fract_y
_atom_site_fract_z
_atom_site_occupancy
Cs1 Cs 0.0000 0.0000 0.0000 1
Zn1 Zn 0.6667 0.3333 0.5000 1
N1 N 0.6667 0.3333 0.0000 1
```